Below is an optimized crystal structure of DyGe2Pt, with properties calculated at the r²SCAN level.

Computed properties:
crystal system = monoclinic
ΔE_f = -0.95 eV/atom
E_tot = -28.75 eV/atom
calculated density = 10.87 Mg/m³

Lattice parameters (Å, degrees): 9.529 9.529 4.312 103.07 103.07 54.27
Positions (direct):
Dy1 0.201 0.201 0.201
Dy2 0.237 0.763 0.000
Dy3 0.763 0.237 0.000
Dy4 0.799 0.799 0.799
Ge1 0.074 0.074 0.573
Ge2 0.148 0.449 0.799
Ge3 0.428 0.428 0.428
Ge4 0.449 0.148 0.799
Ge5 0.551 0.852 0.201
Ge6 0.572 0.572 0.572
Ge7 0.852 0.551 0.201
Ge8 0.926 0.926 0.427
Pt1 0.104 0.600 0.352
Pt2 0.400 0.896 0.648
Pt3 0.600 0.104 0.352
Pt4 0.896 0.400 0.648